Sb3NF10 | PBE | optimized geometry

Cell: 8.319 14.479 8.471 Å, 90.00 92.48 90.00°
Element x y z (fractional)
Sb1 0.089 0.249 0.090
Sb2 0.089 0.251 0.590
Sb3 0.242 0.537 0.801
Sb4 0.242 0.963 0.301
Sb5 0.263 0.527 0.307
Sb6 0.263 0.973 0.807
Sb7 0.737 0.027 0.193
Sb8 0.737 0.473 0.693
Sb9 0.758 0.037 0.699
Sb10 0.758 0.463 0.199
Sb11 0.911 0.749 0.410
Sb12 0.911 0.751 0.910
N1 0.489 0.743 0.124
N2 0.489 0.757 0.624
N3 0.511 0.243 0.376
N4 0.511 0.257 0.876
F1 0.016 0.571 0.857
F2 0.016 0.929 0.357
F3 0.070 0.605 0.266
F4 0.070 0.895 0.766
F5 0.127 0.225 0.830
F6 0.127 0.275 0.330
F7 0.162 0.553 0.574
F8 0.162 0.947 0.074
F9 0.234 0.143 0.116
F10 0.234 0.357 0.616
F11 0.266 0.166 0.566
F12 0.266 0.334 0.066
F13 0.286 0.666 0.819
F14 0.286 0.834 0.319
F15 0.297 0.538 0.068
F16 0.297 0.962 0.568
F17 0.378 0.637 0.364
F18 0.378 0.863 0.864
F19 0.475 0.524 0.709
F20 0.475 0.976 0.209
F21 0.525 0.024 0.791
F22 0.525 0.476 0.291
F23 0.622 0.137 0.136
F24 0.622 0.363 0.636
F25 0.703 0.038 0.432
F26 0.703 0.462 0.932
F27 0.714 0.166 0.681
F28 0.714 0.334 0.181
F29 0.734 0.666 0.934
F30 0.734 0.834 0.434
F31 0.766 0.643 0.384
F32 0.766 0.857 0.884
F33 0.838 0.053 0.926
F34 0.838 0.447 0.426
F35 0.873 0.725 0.670
F36 0.873 0.775 0.170
F37 0.930 0.105 0.234
F38 0.930 0.395 0.734
F39 0.984 0.071 0.643
F40 0.984 0.429 0.143

## Properties
**Formation energy from the elements**: -1.998 eV per atom
**Magnetization**: 12.0 Bohr magnetons per cell
**ρ**: 3.7 Mg/m³
**MP2020-corrected energy**: -4.846 eV/atom
**SG**: P2_1/c